(1)
{
  "formula": "KTeO7",
  "functional": "PBE",
  "state": "relaxed",
  "lattice_angstrom": [[8.767, 0.000, 0.000], [0.000, 6.230, 0.000], [-1.885, 0.000, 13.371]],
  "species": ["K", "K", "K", "K", "Te", "Te", "Te", "Te", "O", "O", "O", "O", "O", "O", "O", "O", "O", "O", "O", "O", "O", "O", "O", "O", "O", "O", "O", "O", "O", "O", "O", "O", "O", "O", "O", "O"],
  "frac_coords": [[0.053, 0.247, 0.383], [0.053, 0.253, 0.883], [0.947, 0.747, 0.117], [0.947, 0.753, 0.617], [0.279, 0.232, 0.160], [0.279, 0.268, 0.660], [0.721, 0.732, 0.340], [0.721, 0.768, 0.840], [0.072, 0.197, 0.629], [0.072, 0.303, 0.129], [0.224, 0.536, 0.570], [0.224, 0.964, 0.070], [0.251, 0.629, 0.282], [0.251, 0.871, 0.782], [0.295, 0.121, 0.287], [0.295, 0.379, 0.787], [0.315, 0.624, 0.024], [0.315, 0.876, 0.524], [0.363, 0.685, 0.342], [0.363, 0.815, 0.842], [0.366, 0.698, 0.558], [0.366, 0.802, 0.058], [0.634, 0.198, 0.942], [0.634, 0.302, 0.442], [0.637, 0.185, 0.158], [0.637, 0.315, 0.658], [0.685, 0.124, 0.476], [0.685, 0.376, 0.976], [0.705, 0.621, 0.213], [0.705, 0.879, 0.713], [0.749, 0.129, 0.218], [0.749, 0.371, 0.718], [0.776, 0.036, 0.930], [0.776, 0.464, 0.430], [0.928, 0.697, 0.871], [0.928, 0.803, 0.371]],
  "e_above_lowest_polymorph_mev_per_atom": 6,
  "e_form_kj_per_mol_atoms": -61.9,
  "spacegroup": "P2_1/c, No. 14"
}

=====

(2)
{
  "formula": "USeO",
  "functional": "PBE",
  "state": "relaxed",
  "lattice_angstrom": [[3.863, 0.000, 0.000], [0.000, 3.863, 0.000], [0.000, 0.000, 7.098]],
  "species": ["U", "U", "Se", "Se", "O", "O"],
  "frac_coords": [[0.250, 0.250, 0.184], [0.750, 0.750, 0.816], [0.250, 0.250, 0.630], [0.750, 0.750, 0.370], [0.250, 0.750, 0.000], [0.750, 0.250, 0.000]],
  "e_form_kj_per_mol_atoms": -242.0,
  "spacegroup": "P4/nmm, No. 129"
}

=====

(3)
{
  "formula": "Ca2TiSbO6",
  "functional": "PBE",
  "state": "relaxed",
  "lattice_angstrom": [[5.518, 0.000, 0.000], [0.000, 7.956, 0.000], [-0.008, 0.000, 5.702]],
  "species": ["Ca", "Ca", "Ca", "Ca", "Ti", "Ti", "Sb", "Sb", "O", "O", "O", "O", "O", "O", "O", "O", "O", "O", "O", "O"],
  "frac_coords": [[0.009, 0.250, 0.454], [0.485, 0.250, 0.939], [0.515, 0.750, 0.061], [0.991, 0.750, 0.546], [0.500, 0.000, 0.500], [0.500, 0.500, 0.500], [0.000, 0.000, 0.000], [0.000, 0.500, 0.000], [0.095, 0.750, 0.968], [0.207, 0.051, 0.692], [0.207, 0.449, 0.692], [0.312, 0.050, 0.209], [0.312, 0.450, 0.209], [0.409, 0.750, 0.468], [0.591, 0.250, 0.532], [0.688, 0.550, 0.791], [0.688, 0.950, 0.791], [0.793, 0.551, 0.308], [0.793, 0.949, 0.308], [0.905, 0.250, 0.032]],
  "e_form_kj_per_mol_atoms": -285.6,
  "spacegroup": "P2_1/m, No. 11"
}

=====

(4)
{
  "formula": "Zn2GaCuSe4",
  "functional": "PBE",
  "state": "relaxed",
  "lattice_angstrom": [[2.039, 1.177, 13.177], [-2.039, 1.177, 13.177], [0.000, -2.355, 13.177]],
  "species": ["Zn", "Zn", "Ga", "Cu", "Se", "Se", "Se", "Se"],
  "frac_coords": [[0.000, 0.000, 0.000], [0.249, 0.249, 0.249], [0.497, 0.497, 0.497], [0.743, 0.743, 0.743], [0.062, 0.062, 0.062], [0.310, 0.310, 0.310], [0.560, 0.560, 0.560], [0.808, 0.808, 0.808]],
  "e_above_lowest_polymorph_mev_per_atom": 79,
  "e_form_kj_per_mol_atoms": -72.3,
  "spacegroup": "R3m, No. 160"
}

=====

(5)
{
  "formula": "BaEuZr2O6",
  "functional": "PBE",
  "state": "relaxed",
  "lattice_angstrom": [[8.442, 0.000, 0.000], [0.000, 8.442, 0.000], [0.000, 0.000, 8.444]],
  "species": ["Ba", "Ba", "Ba", "Ba", "Eu", "Eu", "Eu", "Eu", "Zr", "Zr", "Zr", "Zr", "Zr", "Zr", "Zr", "Zr", "O", "O", "O", "O", "O", "O", "O", "O", "O", "O", "O", "O", "O", "O", "O", "O", "O", "O", "O", "O", "O", "O", "O", "O"],
  "frac_coords": [[0.000, 0.000, 0.000], [0.000, 0.000, 0.500], [0.000, 0.500, 0.000], [0.500, 0.000, 0.500], [0.000, 0.500, 0.500], [0.500, 0.000, 0.000], [0.500, 0.500, 0.000], [0.500, 0.500, 0.500], [0.252, 0.252, 0.250], [0.252, 0.252, 0.750], [0.252, 0.748, 0.250], [0.252, 0.748, 0.750], [0.748, 0.252, 0.250], [0.748, 0.252, 0.750], [0.748, 0.748, 0.250], [0.748, 0.748, 0.750], [0.000, 0.254, 0.253], [0.000, 0.254, 0.747], [0.000, 0.746, 0.253], [0.000, 0.746, 0.747], [0.251, 0.257, 0.500], [0.251, 0.743, 0.500], [0.254, 0.000, 0.247], [0.254, 0.000, 0.753], [0.254, 0.500, 0.253], [0.254, 0.500, 0.747], [0.257, 0.251, 0.000], [0.257, 0.749, 0.000], [0.500, 0.254, 0.247], [0.500, 0.254, 0.753], [0.500, 0.746, 0.247], [0.500, 0.746, 0.753], [0.743, 0.251, 0.000], [0.743, 0.749, 0.000], [0.746, 0.000, 0.247], [0.746, 0.000, 0.753], [0.746, 0.500, 0.253], [0.746, 0.500, 0.747], [0.749, 0.257, 0.500], [0.749, 0.743, 0.500]],
  "e_above_lowest_polymorph_mev_per_atom": 4,
  "e_form_kj_per_mol_atoms": -346.7,
  "spacegroup": "P4_2/mmc, No. 131"
}

=====

(6)
{
  "formula": "Hf7Cu10",
  "functional": "PBE",
  "state": "relaxed",
  "lattice_angstrom": [[6.310, -4.655, 0.000], [6.310, 4.655, 0.000], [0.000, 0.000, 9.346]],
  "species": ["Hf", "Hf", "Hf", "Hf", "Hf", "Hf", "Hf", "Hf", "Hf", "Hf", "Hf", "Hf", "Hf", "Hf", "Cu", "Cu", "Cu", "Cu", "Cu", "Cu", "Cu", "Cu", "Cu", "Cu", "Cu", "Cu", "Cu", "Cu", "Cu", "Cu", "Cu", "Cu", "Cu", "Cu"],
  "frac_coords": [[0.000, 0.000, 0.000], [0.010, 0.490, 0.250], [0.190, 0.190, 0.500], [0.190, 0.810, 0.691], [0.310, 0.310, 0.000], [0.310, 0.690, 0.191], [0.490, 0.010, 0.750], [0.500, 0.500, 0.500], [0.510, 0.990, 0.250], [0.690, 0.310, 0.809], [0.690, 0.690, 0.000], [0.810, 0.190, 0.309], [0.810, 0.810, 0.500], [0.990, 0.510, 0.750], [0.057, 0.650, 0.993], [0.104, 0.896, 0.397], [0.132, 0.159, 0.795], [0.150, 0.557, 0.493], [0.159, 0.132, 0.205], [0.341, 0.368, 0.705], [0.350, 0.943, 0.993], [0.368, 0.341, 0.295], [0.396, 0.604, 0.897], [0.443, 0.850, 0.493], [0.557, 0.150, 0.507], [0.604, 0.396, 0.103], [0.632, 0.659, 0.705], [0.650, 0.057, 0.007], [0.659, 0.632, 0.295], [0.841, 0.868, 0.795], [0.850, 0.443, 0.507], [0.868, 0.841, 0.205], [0.896, 0.104, 0.603], [0.943, 0.350, 0.007]],
  "e_form_kj_per_mol_atoms": -17.2,
  "spacegroup": "Cmce, No. 64"
}

=====

- Which formula does entry 3 have?
  Ca2TiSbO6